First-principles (PBE) data for a relaxed Sr5B3ClO9 crystal, as listed in Materials Project.

Cell: 8.7979 8.7979 7.4878 Å, 90.00 90.00 110.00°
Fractional coordinates of all 36 atoms:
Sr1 0.7613 0.7613 0.0000
Sr2 0.2621 0.0046 0.9362
Sr3 0.2387 0.2387 0.5000
Sr4 0.6350 0.3650 0.7500
Sr5 0.3650 0.6350 0.2500
Sr6 0.3623 0.6377 0.7500
Sr7 0.7379 0.9954 0.4362
Sr8 0.6377 0.3623 0.2500
Sr9 0.9954 0.7379 0.5638
Sr10 0.0046 0.2621 0.0638
B1 0.9853 0.4093 0.4706
B2 0.5907 0.0147 0.0294
B3 0.3702 0.3702 0.0000
B4 0.4093 0.9853 0.5294
B5 0.6298 0.6298 0.5000
B6 0.0147 0.5907 0.9706
Cl1 0.9467 0.0533 0.7500
Cl2 0.0533 0.9467 0.2500
O1 0.4908 0.4908 0.5000
O2 0.4448 0.8470 0.4875
O3 0.5092 0.5092 0.0000
O4 0.3034 0.3048 0.1622
O5 0.8470 0.4448 0.5125
O6 0.0286 0.7347 0.8857
O7 0.9714 0.2653 0.3857
O8 0.6966 0.6952 0.6622
O9 0.3048 0.3034 0.8378
O10 0.1530 0.5552 0.0125
O11 0.5212 0.1392 0.4902
O12 0.7347 0.0286 0.1143
O13 0.6952 0.6966 0.3378
O14 0.4788 0.8608 0.9902
O15 0.5552 0.1530 0.9875
O16 0.8608 0.4788 0.0098
O17 0.2653 0.9714 0.6143
O18 0.1392 0.5212 0.5098

Output
The formation energy is -73.54 kcal/mol of atoms. Its space group is C222_1. For the energy, the calculation gives -7.005 eV per atom.